Ca3Lu2Ge3O12 after structural relaxation, computed with PBE.

Values from the calculation:
crystal system	cubic
total moment	0.000	μB per formula unit
space group	Ia-3d (230)

Structure (POSCAR):
```
Ca3Lu2Ge3O12
1.0
-6.432 6.432 6.432
6.432 -6.432 6.432
6.432 6.432 -6.432
Ca Lu Ge O
12 8 12 48
Cartesian
3.216 1.608 0.000 Ca
6.432 3.216 -1.608 Ca
1.608 0.000 3.216 Ca
8.040 0.000 3.216 Ca
0.000 3.216 1.608 Ca
3.216 -1.608 6.432 Ca
3.216 8.040 0.000 Ca
6.432 3.216 4.824 Ca
-1.608 6.432 3.216 Ca
4.824 6.432 3.216 Ca
0.000 3.216 8.040 Ca
3.216 4.824 6.432 Ca
0.000 0.000 0.000 Lu
3.216 3.216 -3.216 Lu
3.216 -3.216 3.216 Lu
6.432 0.000 0.000 Lu
-3.216 3.216 3.216 Lu
0.000 6.432 0.000 Lu
0.000 0.000 6.432 Lu
3.216 3.216 3.216 Lu
9.648 1.608 0.000 Ge
6.432 -3.216 4.824 Ge
4.824 6.432 -3.216 Ge
4.824 0.000 3.216 Ge
3.216 4.824 0.000 Ge
6.432 3.216 1.608 Ge
0.000 3.216 4.824 Ge
3.216 1.608 6.432 Ge
1.608 6.432 3.216 Ge
1.608 0.000 9.648 Ge
0.000 9.648 1.608 Ge
-3.216 4.824 6.432 Ge
2.036 -0.444 0.677 O
7.611 3.893 -3.660 O
8.468 0.444 0.677 O
7.611 -2.539 3.660 O
5.987 -0.677 2.036 O
10.092 -1.180 2.539 O
0.677 2.036 -0.444 O
8.970 2.771 -1.180 O
3.893 3.660 -1.180 O
5.754 2.036 0.444 O
-0.444 0.677 2.036 O
3.660 -1.180 3.893 O
5.987 5.754 -2.036 O
3.660 1.180 2.539 O
3.893 -3.660 7.611 O
5.754 -2.036 5.987 O
2.539 3.660 1.180 O
7.109 4.396 0.444 O
3.660 7.611 -2.539 O
5.987 0.677 4.396 O
2.036 5.987 -0.677 O
7.611 2.539 2.771 O
1.180 2.539 3.660 O
2.036 0.444 5.754 O
4.396 5.987 0.677 O
5.252 3.893 2.771 O
-1.180 3.893 3.660 O
4.396 0.444 7.109 O
0.444 5.754 2.036 O
2.771 -1.180 8.970 O
-0.677 2.036 5.987 O
3.893 2.771 5.252 O
0.677 8.468 0.444 O
2.539 10.092 -1.180 O
2.771 5.252 3.893 O
0.444 0.677 8.468 O
2.771 7.611 2.539 O
6.876 5.754 4.396 O
0.677 4.396 5.987 O
2.539 2.771 7.611 O
-2.539 3.660 7.611 O
5.754 4.396 6.876 O
-3.660 7.611 3.893 O
0.444 7.109 4.396 O
-1.180 8.970 2.771 O
-2.036 5.987 5.754 O
-1.180 2.539 10.092 O
4.396 6.876 5.754 O
```

=====

Nb3As after structural relaxation, computed with PBE.

Values from the calculation:
crystal system	tetragonal
space group	P4_2/n (86)

Structure (POSCAR):
```
Nb3As
1.0
10.376 0.000 0.000
0.000 10.376 0.000
0.000 0.000 5.242
Nb As
24 8
Cartesian
0.379 5.769 1.263 Nb
0.582 9.996 3.884 Nb
1.050 2.475 0.095 Nb
1.618 6.905 3.813 Nb
1.717 8.758 1.192 Nb
2.475 4.138 2.526 Nb
2.713 1.050 2.526 Nb
3.471 6.806 1.192 Nb
3.570 8.658 3.813 Nb
4.138 2.713 0.095 Nb
4.606 5.567 3.884 Nb
4.809 9.794 1.263 Nb
5.567 0.582 3.979 Nb
5.769 4.809 1.358 Nb
6.238 7.662 5.147 Nb
6.806 1.717 1.428 Nb
6.905 3.570 4.049 Nb
7.662 9.326 2.716 Nb
7.901 6.238 2.716 Nb
8.658 1.618 4.049 Nb
8.758 3.471 1.428 Nb
9.326 7.901 5.147 Nb
9.794 0.379 1.358 Nb
9.996 4.606 3.979 Nb
0.450 2.374 2.725 As
2.374 4.738 5.138 As
2.814 0.450 5.138 As
4.738 2.814 2.725 As
5.638 7.561 2.517 As
7.561 9.926 0.104 As
8.002 5.638 0.104 As
9.926 8.002 2.517 As
```

=====

no.,E (eV/atom)
1,-7.14
2,-9.16